[1]
A plane-wave DFT calculation with PBE-GGA was carried out for a relaxed structure of KIn7S8.

## Properties
DFT formation energy: -0.86 eV per atom
V: 1278.4 Å³ per cell
energy: -189.5 eV for the cell shown

The structure in CIF format:
```
data_KIn7S8
_chemical_formula_sum 'K3 In21 S24'
_symmetry_space_group_name_H-M 'P 1 m 1'
_symmetry_Int_Tables_number 6
_cell_length_a 17.9013
_cell_length_b 3.9895
_cell_length_c 19.3287
_cell_angle_alpha 90.00
_cell_angle_beta 112.16
_cell_angle_gamma 90.00
loop_
_symmetry_equiv_pos_as_xyz
'x,y,z'
'x,-y,z'
loop_
_atom_site_label
_atom_site_fract_x
_atom_site_fract_y
_atom_site_fract_z
K1 0.0000 0.0000 0.0000
K2 0.0953 0.5000 0.4325
K3 0.5000 0.0000 0.9999
In1 0.0081 0.5000 0.5996
In2 0.0872 0.0000 0.8332
In3 0.1415 0.0000 0.2114
In4 0.1975 0.0000 0.6723
In5 0.2564 0.0000 0.9017
In6 0.2964 0.0000 0.3304
In7 0.2989 0.5000 0.1022
In8 0.3393 0.5000 0.5308
In9 0.3979 0.5000 0.7603
In10 0.4534 0.5000 0.2215
In11 0.5077 0.5000 0.5996
In12 0.5873 0.0000 0.8332
In13 0.5942 0.5000 0.4325
In14 0.6423 0.0000 0.2111
In15 0.6980 0.0000 0.6724
In16 0.7563 0.0000 0.9020
In17 0.7965 0.0000 0.3304
In18 0.7991 0.5000 0.1024
In19 0.8384 0.5000 0.5303
In20 0.8978 0.5000 0.7602
In21 0.9538 0.5000 0.2214
S1 0.0289 0.5000 0.8830
S2 0.0372 0.0000 0.2907
S3 0.0583 0.5000 0.1418
S4 0.0663 0.0000 0.5495
S5 0.1324 0.5000 0.7211
S6 0.2092 0.0000 0.0843
S7 0.2615 0.0000 0.4512
S8 0.2717 0.5000 0.6297
S9 0.3238 0.0000 0.8031
S10 0.3336 0.5000 0.9812
S11 0.3870 0.5000 0.3485
S12 0.4635 0.0000 0.7121
S13 0.5289 0.5000 0.8830
S14 0.5376 0.0000 0.2923
S15 0.5583 0.5000 0.1423
S16 0.5667 0.0000 0.5482
S17 0.6320 0.5000 0.7203
S18 0.7090 0.0000 0.0841
S19 0.7622 0.0000 0.4516
S20 0.7718 0.5000 0.6299
S21 0.8238 0.0000 0.8032
S22 0.8336 0.5000 0.9811
S23 0.8863 0.5000 0.3483
S24 0.9634 0.0000 0.7117
```


[2]
A plane-wave DFT calculation with PBE-GGA was carried out for a relaxed structure of K2In2Sb3.

## Properties
DFT formation energy: -0.43 eV per atom
V: 2055.8 Å³ per cell
energy: -180.1 eV for the cell shown

The structure in CIF format:
```
data_K2In2Sb3
_chemical_formula_sum 'K16 In16 Sb24'
_symmetry_space_group_name_H-M 'P 1 21/c 1'
_symmetry_Int_Tables_number 14
_cell_length_a 15.5658
_cell_length_b 7.7263
_cell_length_c 17.0941
_cell_angle_alpha 90.00
_cell_angle_beta 90.41
_cell_angle_gamma 90.00
loop_
_symmetry_equiv_pos_as_xyz
'x,y,z'
'-x,-y,-z'
'-x,y+1/2,-z+1/2'
'x,-y+1/2,z+1/2'
loop_
_atom_site_label
_atom_site_fract_x
_atom_site_fract_y
_atom_site_fract_z
K1 0.0586 0.0548 0.1024
K2 0.1541 0.5514 0.0224
K3 0.3581 0.0335 0.0084
K4 0.4224 0.5354 0.1127
In1 0.0922 0.7362 0.2596
In2 0.1834 0.2200 0.3355
In3 0.3178 0.7380 0.3269
In4 0.4072 0.2132 0.2715
Sb1 0.0212 0.0326 0.3420
Sb2 0.1670 0.5638 0.3966
Sb3 0.2500 0.2124 0.1777
Sb4 0.2496 0.6632 0.6730
Sb5 0.3384 0.0551 0.4119
Sb6 0.4750 0.5360 0.3317
```


[3]
A plane-wave DFT calculation with PBE-GGA was carried out for a relaxed structure of K2In12Se19.

## Properties
DFT formation energy: -0.89 eV per atom
V: 6343.4 Å³ per cell
energy: -731.8 eV for the cell shown

The structure in CIF format:
```
data_K2In12Se19
_chemical_formula_sum 'K12 In72 Se114'
_symmetry_space_group_name_H-M 'R -3'
_symmetry_Int_Tables_number 148
_symmetry_space_group_name_Hall '-R 3'
_cell_length_a 14.2264
_cell_length_b 14.2264
_cell_length_c 36.1909
_cell_angle_alpha 90.00
_cell_angle_beta 90.00
_cell_angle_gamma 120.00
loop_
_atom_site_label
_atom_site_fract_x
_atom_site_fract_y
_atom_site_fract_z
K1 0.0000 0.0000 0.0788
K2 0.0000 0.0000 0.4133
In1 0.0172 0.5563 0.6593
In2 0.0195 0.5549 0.1563
In3 0.0463 0.4908 0.4541
In4 0.0792 0.1927 0.2837
Se1 0.0000 0.0000 0.2490
Se2 0.0159 0.5804 0.9007
Se3 0.0186 0.5885 0.3966
Se4 0.0331 0.8385 0.3470
Se5 0.0372 0.8460 0.8431
Se6 0.0608 0.2438 0.0446
Se7 0.0682 0.2554 0.5443
```


[4]
A plane-wave DFT calculation with PBE-GGA was carried out for a relaxed structure of K2In12Se19.

## Properties
DFT formation energy: -0.86 eV per atom
V: 3101.3 Å³ per cell
energy: -363.5 eV for the cell shown

The structure in CIF format:
```
data_K2In12Se19
_chemical_formula_sum 'K6 In36 Se57'
_symmetry_space_group_name_H-M 'R -3'
_symmetry_Int_Tables_number 148
_symmetry_space_group_name_Hall '-R 3'
_cell_length_a 14.0580
_cell_length_b 14.0580
_cell_length_c 18.1203
_cell_angle_alpha 90.00
_cell_angle_beta 90.00
_cell_angle_gamma 120.00
loop_
_atom_site_label
_atom_site_fract_x
_atom_site_fract_y
_atom_site_fract_z
K1 0.0000 0.0000 0.1645
In1 0.0182 0.4597 0.6829
In2 0.0930 0.5726 0.0932
Se1 0.0000 0.0000 0.5000
Se2 0.0091 0.4307 0.2034
Se3 0.0396 0.2002 0.3028
Se4 0.0660 0.8156 0.9104
```


[5]
A plane-wave DFT calculation with PBE-GGA was carried out for a relaxed structure of K9InSe7.

## Properties
DFT formation energy: -1.24 eV per atom
V: 2342.3 Å³ per cell
energy: -220.3 eV for the cell shown

The structure in CIF format:
```
data_K9InSe7
_chemical_formula_sum 'K36 In4 Se28'
_symmetry_space_group_name_H-M 'P 1 21/c 1'
_symmetry_Int_Tables_number 14
_cell_length_a 11.4201
_cell_length_b 8.2970
_cell_length_c 25.3201
_cell_angle_alpha 90.00
_cell_angle_beta 102.50
_cell_angle_gamma 90.00
loop_
_symmetry_equiv_pos_as_xyz
'x,y,z'
'-x,-y,-z'
'-x,y+1/2,-z+1/2'
'x,-y+1/2,z+1/2'
loop_
_atom_site_label
_atom_site_fract_x
_atom_site_fract_y
_atom_site_fract_z
K1 0.0140 0.0757 0.2723
K2 0.1169 0.1397 0.4518
K3 0.1645 0.0417 0.0646
K4 0.2358 0.5571 0.0907
K5 0.2652 0.5699 0.7161
K6 0.2909 0.0759 0.7986
K7 0.3566 0.5857 0.4573
K8 0.4258 0.0593 0.4215
K9 0.4567 0.2411 0.6657
In1 0.0555 0.6958 0.3723
Se1 0.0343 0.1162 0.8516
Se2 0.0907 0.7449 0.9766
Se3 0.1553 0.1937 0.6787
Se4 0.2350 0.6896 0.8347
Se5 0.3768 0.2339 0.5314
Se6 0.4367 0.6301 0.6261
Se7 0.4735 0.6598 0.1968
```


[6]
A plane-wave DFT calculation with PBE-GGA was carried out for a relaxed structure of KInSnSe4.

## Properties
DFT formation energy: -0.95 eV per atom
V: 1945.9 Å³ per cell
energy: -212.7 eV for the cell shown

The structure in CIF format:
```
data_KInSnSe4
_chemical_formula_sum 'K8 In8 Sn8 Se32'
_symmetry_space_group_name_H-M 'P 1 21/c 1'
_symmetry_Int_Tables_number 14
_cell_length_a 8.0440
_cell_length_b 12.9455
_cell_length_c 18.8815
_cell_angle_alpha 90.00
_cell_angle_beta 98.25
_cell_angle_gamma 90.00
loop_
_symmetry_equiv_pos_as_xyz
'x,y,z'
'-x,-y,-z'
'-x,y+1/2,-z+1/2'
'x,-y+1/2,z+1/2'
loop_
_atom_site_label
_atom_site_fract_x
_atom_site_fract_y
_atom_site_fract_z
K1 0.2360 0.1015 0.4560
K2 0.2468 0.0704 0.8209
In1 0.0315 0.7430 0.8422
In2 0.4627 0.2434 0.6423
Sn1 0.2562 0.7044 0.1756
Sn2 0.3023 0.6716 0.5152
Se1 0.0336 0.1721 0.2882
Se2 0.0614 0.5957 0.4281
Se3 0.2108 0.1168 0.6409
Se4 0.2470 0.6349 0.0453
Se5 0.2840 0.6178 0.8466
Se6 0.3065 0.6030 0.6448
Se7 0.4030 0.1526 0.0190
Se8 0.4974 0.1186 0.2461
```


[7]
A plane-wave DFT calculation with PBE-GGA was carried out for a relaxed structure of K4In9Si14.

## Properties
DFT formation energy: 0.13 eV per atom
V: 2774.1 Å³ per cell
energy: -410.2 eV for the cell shown

The structure in CIF format:
```
data_K4In9Si14
_chemical_formula_sum 'K16 In36 Si56'
_symmetry_space_group_name_H-M 'A m a 2'
_symmetry_Int_Tables_number 40
_cell_length_a 10.9999
_cell_length_b 15.9071
_cell_length_c 15.8544
_cell_angle_alpha 90.00
_cell_angle_beta 90.00
_cell_angle_gamma 90.00
loop_
_symmetry_equiv_pos_as_xyz
'x,y,z'
'-x,-y,z'
'-x+1/2,y,z'
'x+1/2,-y,z'
'x,y+1/2,z+1/2'
'-x,-y+1/2,z+1/2'
'-x+1/2,y+1/2,z+1/2'
'x+1/2,-y+1/2,z+1/2'
loop_
_atom_site_label
_atom_site_fract_x
_atom_site_fract_y
_atom_site_fract_z
K1 0.0000 0.0000 0.0000
K2 0.2500 0.1260 0.3736
K3 0.2500 0.2503 0.7497
K4 0.2500 0.3738 0.1258
In1 0.0742 0.0744 0.7472
In2 0.0736 0.2487 0.5734
In3 0.0743 0.4278 0.7517
In4 0.0748 0.2535 0.9264
In5 0.2500 0.3752 0.3750
Si1 0.0000 0.0000 0.4993
Si2 0.0655 0.2968 0.2981
Si3 0.0746 0.1910 0.1928
Si4 0.1403 0.0856 0.5835
Si5 0.1408 0.4161 0.9145
Si6 0.2500 0.0433 0.8603
Si7 0.2500 0.1246 0.1245
Si8 0.2500 0.1457 0.9707
Si9 0.2500 0.3607 0.5435
Si10 0.2500 0.4711 0.6450
```


[8]
A plane-wave DFT calculation with PBE-GGA was carried out for a relaxed structure of LaLuIn2.

## Properties
DFT formation energy: -0.45 eV per atom
V: 452.4 Å³ per cell
energy: -67.0 eV for the cell shown

The structure in CIF format:
```
data_LaLuIn2
_chemical_formula_sum 'La4 Lu4 In8'
_symmetry_space_group_name_H-M 'F m -3 m'
_symmetry_Int_Tables_number 225
_symmetry_space_group_name_Hall '-F 4 2 3'
_cell_length_a 7.6766
_cell_length_b 7.6766
_cell_length_c 7.6766
_cell_angle_alpha 90.00
_cell_angle_beta 90.00
_cell_angle_gamma 90.00
loop_
_atom_site_label
_atom_site_fract_x
_atom_site_fract_y
_atom_site_fract_z
La1 0.0000 0.0000 0.0000
Lu1 0.0000 0.0000 0.5000
In1 0.2500 0.2500 0.2500
```


[9]
A plane-wave DFT calculation with PBE-GGA was carried out for a relaxed structure of LaMnIn.

## Properties
DFT formation energy: -0.04 eV per atom
V: 74.9 Å³ per cell
energy: -17.0 eV for the cell shown

The structure in CIF format:
```
data_LaMnIn
_chemical_formula_sum 'La1 Mn1 In1'
_symmetry_space_group_name_H-M 'P -6 m 2'
_symmetry_Int_Tables_number 187
_symmetry_space_group_name_Hall 'P -6 2'
_cell_length_a 4.5933
_cell_length_b 4.5933
_cell_length_c 4.0966
_cell_angle_alpha 90.00
_cell_angle_beta 90.00
_cell_angle_gamma 120.00
loop_
_atom_site_label
_atom_site_fract_x
_atom_site_fract_y
_atom_site_fract_z
La1 0.0000 0.0000 0.0000
Mn1 0.6667 0.3333 0.5000
In1 0.3333 0.6667 0.5000
```